Entry 1:
Below is Rb2Te2O2F7 after structural relaxation, with properties calculated at the PBE-GGA level.

POSCAR file:
```
Rb2Te2O2F7
1.0
13.027 0.000 0.000
0.000 6.015 0.000
0.000 1.030 12.513
O F Te Rb
8 28 8 8
Direct
0.395 0.885 0.987
0.132 0.566 0.311
0.133 0.387 0.488
0.632 0.434 0.689
0.898 0.942 0.190
0.895 0.115 0.013
0.633 0.613 0.512
0.398 0.058 0.810
0.742 0.759 0.083
0.242 0.241 0.917
0.517 0.524 0.339
0.013 0.017 0.842
0.752 0.926 0.419
0.408 0.492 0.825
0.908 0.508 0.175
0.294 0.721 0.417
0.979 0.724 0.431
0.227 0.542 0.658
0.057 0.792 0.072
0.531 0.948 0.413
0.794 0.279 0.583
0.282 0.566 0.083
0.506 0.557 0.080
0.513 0.983 0.158
0.006 0.443 0.920
0.630 0.009 0.674
0.017 0.476 0.661
0.804 0.970 0.842
0.557 0.208 0.928
0.130 0.991 0.326
0.782 0.434 0.917
0.727 0.458 0.342
0.304 0.030 0.158
0.252 0.074 0.581
0.479 0.276 0.569
0.031 0.052 0.587
0.397 0.767 0.133
0.136 0.729 0.439
0.637 0.730 0.365
0.900 0.772 0.062
0.636 0.271 0.561
0.897 0.233 0.867
0.137 0.270 0.635
0.400 0.228 0.938
0.689 0.264 0.126
0.610 0.745 0.883
0.110 0.255 0.117
0.346 0.230 0.375
0.924 0.248 0.384
0.846 0.770 0.625
0.189 0.736 0.874
0.424 0.752 0.616
```

Summary:
The calculation puts the energy of formation at -2382 meV/atom. Its space group is P2_1, No. 4.

---

Entry 2:
Below is Al12Si12Ag16S5O48 after structural relaxation, with properties calculated at the PBE-GGA level.

POSCAR file:
```
Al12Si12Ag16S5O48
1.0
-8.740 1.663 -1.420
0.595 -3.707 -8.096
-4.201 -16.019 7.026
O Ag Si Al S
48 16 12 12 5
Direct
0.848 0.861 0.215
0.646 0.933 0.819
0.862 0.567 0.072
0.439 0.852 0.430
0.065 0.363 0.825
0.349 0.061 0.317
0.648 0.063 0.682
0.144 0.863 0.278
0.149 0.140 0.215
0.066 0.636 0.174
0.862 0.432 0.927
0.360 0.351 0.469
0.135 0.432 0.072
0.361 0.648 0.032
0.135 0.567 0.927
0.149 0.861 0.784
0.849 0.139 0.784
0.353 0.933 0.180
0.862 0.563 0.574
0.853 0.864 0.720
0.349 0.938 0.682
0.434 0.148 0.068
0.649 0.939 0.317
0.060 0.360 0.323
0.645 0.068 0.180
0.136 0.562 0.425
0.144 0.136 0.720
0.938 0.641 0.323
0.136 0.437 0.574
0.060 0.640 0.676
0.434 0.852 0.931
0.637 0.352 0.032
0.362 0.353 0.967
0.638 0.649 0.469
0.352 0.067 0.819
0.565 0.149 0.931
0.640 0.349 0.530
0.564 0.850 0.068
0.932 0.637 0.825
0.558 0.852 0.569
0.854 0.137 0.279
0.358 0.651 0.530
0.558 0.148 0.430
0.439 0.148 0.569
0.931 0.363 0.174
0.862 0.438 0.425
0.937 0.360 0.676
0.635 0.646 0.967
0.644 0.354 0.168
0.340 0.659 0.676
0.660 0.660 0.323
0.178 0.179 0.593
0.840 0.843 0.073
0.349 0.352 0.831
0.157 0.846 0.924
0.648 0.648 0.830
0.817 0.181 0.405
0.351 0.646 0.168
0.843 0.153 0.924
0.180 0.819 0.405
0.338 0.340 0.323
0.159 0.155 0.074
0.819 0.821 0.593
0.658 0.342 0.676
0.999 0.500 0.373
0.499 0.251 0.500
0.499 0.250 0.999
0.250 0.000 0.752
0.748 0.000 0.247
0.999 0.500 0.626
0.999 0.500 0.123
0.499 0.749 0.000
0.498 0.749 0.500
0.250 0.000 0.247
0.999 0.500 0.876
0.748 0.000 0.752
0.499 0.000 0.875
0.749 0.499 0.999
0.997 0.251 0.753
0.499 0.000 0.627
0.499 0.000 0.124
0.499 0.000 0.372
0.997 0.749 0.246
0.000 0.749 0.753
0.249 0.501 0.500
0.000 0.251 0.246
0.248 0.500 0.000
0.749 0.500 0.500
0.000 0.000 0.000
0.108 0.002 0.498
0.890 0.998 0.497
0.498 0.500 0.254
0.498 0.500 0.748
```

Summary:
The calculation puts the energy of formation at -2464 meV/atom. Its space group is P1, No. 1. The offset from the most stable computed form comes out at 0 meV/atom.

---

Entry 3:
Below is Ba6MgNb2IrCl2O12 after structural relaxation, with properties calculated at the PBE-GGA level.

POSCAR file:
```
Ba6MgNb2IrCl2O12
1.0
-4.220 4.460 -0.260
0.402 -3.867 4.760
8.974 11.147 6.145
Mg Ba O Cl Ir Nb
1 6 12 2 1 2
Direct
0.466 0.534 0.162
0.276 0.724 0.032
0.633 0.367 0.916
0.695 0.305 0.642
0.717 0.283 0.238
0.339 0.661 0.785
0.335 0.665 0.371
0.138 0.862 0.900
0.318 0.184 0.754
0.691 0.789 0.253
0.795 0.686 0.079
0.849 0.151 0.104
0.831 0.169 0.770
0.314 0.205 0.079
0.145 0.316 0.919
0.817 0.682 0.754
0.211 0.309 0.253
0.684 0.855 0.919
0.192 0.808 0.220
0.697 0.303 0.437
0.335 0.665 0.581
0.986 0.014 0.002
0.026 0.974 0.177
0.991 0.009 0.816
```

Summary:
The calculation puts the energy of formation at -2706 meV/atom. Its space group is Cm, No. 8. The offset from the most stable computed form comes out at 100 meV/atom.

---

Entry 4:
Below is Rb6Si10O23 after structural relaxation, with properties calculated at the PBE-GGA level.

POSCAR file:
```
Rb6Si10O23
1.0
4.737 -8.285 0.000
4.737 8.285 0.000
0.000 0.000 8.191
O Si Rb
23 10 6
Direct
0.580 0.151 0.195
0.151 0.580 0.805
0.428 0.428 0.000
0.420 0.573 0.733
0.151 0.580 0.195
0.420 0.573 0.267
0.580 0.151 0.805
0.610 0.245 0.500
0.237 0.237 0.248
0.756 0.998 0.250
0.245 0.610 0.500
0.423 0.852 0.296
0.916 0.540 0.000
0.423 0.852 0.704
0.540 0.916 0.000
0.756 0.998 0.750
0.237 0.237 0.752
0.998 0.756 0.250
0.573 0.420 0.733
0.573 0.420 0.267
0.852 0.423 0.296
0.998 0.756 0.750
0.852 0.423 0.704
0.655 0.311 0.311
0.590 0.981 0.191
0.981 0.590 0.191
0.655 0.311 0.689
0.981 0.590 0.809
0.311 0.655 0.689
0.398 0.398 0.199
0.398 0.398 0.801
0.590 0.981 0.809
0.311 0.655 0.311
0.750 0.750 0.500
0.000 0.242 0.000
0.228 0.990 0.500
0.242 0.000 0.000
0.990 0.228 0.500
0.756 0.756 0.000
```

Summary:
The calculation puts the energy of formation at -3019 meV/atom. Its space group is Amm2, No. 38.

---

Entry 5:
Below is LiCuF4 after structural relaxation, with properties calculated at the PBE-GGA level.

POSCAR file:
```
LiCuF4
1.0
-2.445 -7.821 -6.069
4.544 2.552 -5.073
5.537 -4.007 2.938
F Li Cu
32 8 8
Direct
0.926 0.421 0.859
0.327 0.749 0.593
0.582 0.920 0.898
0.926 0.079 0.859
0.737 0.546 0.627
0.582 0.580 0.898
0.819 0.749 0.346
0.918 0.420 0.399
0.263 0.046 0.373
0.426 0.079 0.641
0.827 0.749 0.907
0.418 0.080 0.102
0.173 0.251 0.093
0.319 0.749 0.154
0.763 0.046 0.126
0.082 0.580 0.601
0.418 0.420 0.102
0.181 0.251 0.654
0.574 0.921 0.359
0.673 0.251 0.407
0.074 0.921 0.141
0.237 0.546 0.874
0.574 0.579 0.359
0.426 0.421 0.641
0.763 0.454 0.126
0.237 0.954 0.874
0.681 0.251 0.846
0.918 0.080 0.398
0.082 0.920 0.602
0.074 0.579 0.141
0.737 0.954 0.627
0.263 0.454 0.373
0.979 0.249 0.626
0.970 0.250 0.099
0.530 0.751 0.599
0.020 0.750 0.374
0.479 0.250 0.875
0.470 0.250 0.401
0.030 0.750 0.901
0.520 0.750 0.126
0.252 0.999 0.624
0.248 0.499 0.123
0.248 0.001 0.124
0.748 0.001 0.376
0.748 0.499 0.376
0.752 0.501 0.876
0.253 0.501 0.623
0.752 0.999 0.877
```

Summary:
The calculation puts the energy of formation at -2137 meV/atom. Its space group is P2_1/c, No. 14.

---

Entry 6:
Below is GaFe3As after structural relaxation, with properties calculated at the PBE-GGA level.

POSCAR file:
```
GaFe3As
1.0
-2.029 -3.512 0.000
-4.059 0.000 0.000
0.000 0.000 -4.868
Fe Ga As
3 1 1
Direct
0.000 0.000 0.999
0.667 0.667 0.750
0.000 0.000 0.501
0.333 0.333 0.750
0.667 0.667 0.250
```

Summary:
The calculation puts the energy of formation at -107 meV/atom. Its space group is P-6m2, No. 187.

---

Entry 7:
Below is HoLuO3 after structural relaxation, with properties calculated at the PBE-GGA level.

POSCAR file:
```
HoLuO3
1.0
5.576 0.000 0.000
0.000 5.849 0.000
0.000 0.000 8.259
O Ho Lu
12 4 4
Direct
0.355 0.930 0.250
0.855 0.570 0.750
0.816 0.813 0.077
0.684 0.313 0.423
0.816 0.813 0.423
0.684 0.313 0.077
0.184 0.187 0.923
0.316 0.687 0.923
0.645 0.070 0.750
0.145 0.430 0.250
0.184 0.187 0.577
0.316 0.687 0.577
0.481 0.443 0.750
0.019 0.943 0.750
0.519 0.557 0.250
0.981 0.057 0.250
0.500 0.000 0.000
0.500 0.000 0.500
0.000 0.500 0.500
0.000 0.500 0.000
```

Summary:
The calculation puts the energy of formation at -3996 meV/atom. Its space group is Pnma, No. 62.

---

Entry 8:
Below is EuAs2Pd2 after structural relaxation, with properties calculated at the PBE-GGA level.

POSCAR file:
```
EuAs2Pd2
1.0
2.200 5.531 0.000
-2.200 5.531 0.000
0.000 1.641 4.133
Pd As Eu
2 2 1
Direct
0.748 0.748 0.752
0.250 0.250 0.246
0.623 0.623 0.373
0.373 0.373 0.627
0.000 0.000 0.991
```

Summary:
The calculation puts the energy of formation at -802 meV/atom. Its space group is Cm, No. 8.

---

Entry 9:
Below is HoErHg2 after structural relaxation, with properties calculated at the PBE-GGA level.

POSCAR file:
```
HoErHg2
1.0
-4.271 -0.755 -2.936
-4.027 3.332 0.330
-1.050 3.241 -3.978
Ho Hg Er
1 2 1
Direct
0.000 0.000 0.000
0.250 0.250 0.250
0.750 0.750 0.750
0.500 0.500 0.500
```

Summary:
The calculation puts the energy of formation at -479 meV/atom. Its space group is Fm-3m, No. 225.

---

Entry 10:
Below is SiPb3 after structural relaxation, with properties calculated at the PBE-GGA level.

POSCAR file:
```
SiPb3
1.0
2.965 4.187 3.020
-3.711 2.981 3.576
0.984 -5.817 -0.802
Pb Si
3 1
Direct
0.500 0.500 0.000
0.250 0.750 0.500
0.750 0.250 0.500
0.000 0.000 0.000
```

Summary:
The calculation puts the energy of formation at 335 meV/atom. Its space group is I4/mmm, No. 139. The offset from the most stable computed form comes out at 0 meV/atom.

---

Entry 11:
Below is TeMoWSeS2 after structural relaxation, with properties calculated at the PBE-GGA level.

POSCAR file:
```
TeMoWSeS2
1.0
2.136 1.664 1.894
-3.146 -0.331 0.956
8.821 -31.822 18.010
Se Te S Mo W
2 2 4 2 2
Direct
0.000 0.000 0.326
0.000 0.000 0.237
0.333 0.667 0.145
0.333 0.667 0.043
0.000 0.000 0.698
0.333 0.667 0.510
0.000 0.000 0.617
0.333 0.667 0.429
0.000 0.000 0.094
0.333 0.667 0.282
0.000 0.000 0.470
0.333 0.667 0.658
```

Summary:
The calculation puts the energy of formation at -759 meV/atom. Its space group is P3m1, No. 156. The offset from the most stable computed form comes out at 1 meV/atom.

---

Entry 12:
Below is Ag3Sn2Ge3P6 after structural relaxation, with properties calculated at the PBE-GGA level.

POSCAR file:
```
Ag3Sn2Ge3P6
1.0
-5.313 5.313 5.313
5.313 -5.313 5.313
5.313 5.313 -5.313
P Ag Ge Sn
12 6 6 4
Direct
0.240 0.491 0.000
0.491 0.000 0.240
0.760 0.760 0.251
0.491 0.240 0.000
0.251 0.760 0.760
0.760 0.251 0.760
0.509 0.509 0.749
0.000 0.491 0.240
0.749 0.509 0.509
0.509 0.749 0.509
0.240 0.000 0.491
0.000 0.240 0.491
0.196 0.196 0.000
0.804 0.000 0.804
0.196 0.000 0.196
0.804 0.804 0.000
0.000 0.804 0.804
0.000 0.196 0.196
0.750 0.250 0.500
0.500 0.750 0.250
0.750 0.500 0.250
0.250 0.500 0.750
0.250 0.750 0.500
0.500 0.250 0.750
0.000 0.588 0.000
0.412 0.412 0.412
0.000 0.000 0.588
0.588 0.000 0.000
```

Summary:
The calculation puts the energy of formation at -42 meV/atom. The value obtained for the piezoelectric modulus e_max is 0.02 C/m². Its space group is I-43m, No. 217.